Density functional theory data (PBE) for CuH8S3O10 after structural relaxation.

Lattice parameters (Å, degrees): 7.2097 20.6993 7.8998 90.00 118.05 90.00
Last column: nearest neighbours and their distance in Å.
Element x y z (fractional)
Cu (0.1676, 0.1412, 0.4812)  4 O 1.96-2.01
Cu (0.1676, 0.3588, 0.9812)  4 O 1.96-2.01
Cu (0.8324, 0.6412, 0.0188)  4 O 1.96-2.01
Cu (0.8324, 0.8588, 0.5188)  4 O 1.96-2.01
H (0.0171, 0.2491, 0.9904)  1 O 0.98
H (0.0171, 0.2509, 0.4904)  1 O 0.98
H (0.0394, 0.5466, 0.2214)  1 O 0.99
H (0.0394, 0.9534, 0.7214)  1 O 0.99
H (0.1505, 0.7137, 0.1927)  1 O 0.98
H (0.1505, 0.7863, 0.6927)  1 O 0.98
H (0.1929, 0.5933, 0.1836)  1 O 0.99
H (0.1929, 0.9067, 0.6836)  1 O 0.99
H (0.2818, 0.0224, 0.5176)  1 O 0.99
H (0.2818, 0.4776, 0.0176)  1 O 0.99
H (0.4269, 0.1909, 0.7911)  1 O 0.98
H (0.4269, 0.3091, 0.2911)  1 O 0.98
H (0.4318, 0.2342, 0.6251)  1 O 0.99
H (0.4318, 0.2658, 0.1251)  1 O 0.99
H (0.4818, 0.0696, 0.5954)  1 O 0.98
H (0.4818, 0.4304, 0.0954)  1 O 0.98
H (0.5182, 0.5696, 0.9046)  1 O 0.98
H (0.5182, 0.9304, 0.4046)  1 O 0.98
H (0.5682, 0.7342, 0.8749)  1 O 0.99
H (0.5682, 0.7658, 0.3749)  1 O 0.99
H (0.5731, 0.6909, 0.7089)  1 O 0.98
H (0.5731, 0.8091, 0.2089)  1 O 0.98
H (0.7182, 0.5224, 0.9824)  1 O 0.99
H (0.7182, 0.9776, 0.4824)  1 O 0.99
H (0.8071, 0.0933, 0.3164)  1 O 0.99
H (0.8071, 0.4067, 0.8164)  1 O 0.99
H (0.8495, 0.2137, 0.3073)  1 O 0.98
H (0.8495, 0.2863, 0.8073)  1 O 0.98
H (0.9606, 0.0466, 0.2786)  1 O 0.99
H (0.9606, 0.4534, 0.7786)  1 O 0.99
H (0.9829, 0.7491, 0.5096)  1 O 0.98
H (0.9829, 0.7509, 0.0096)  1 O 0.98
S (0.0186, 0.5911, 0.7133)  3 O 1.45-1.49
S (0.0186, 0.9089, 0.2133)  3 O 1.45-1.49
S (0.2647, 0.0588, 0.0297)  2 S 2.10-2.15
S (0.2647, 0.4412, 0.5297)  2 S 2.10-2.15
S (0.4078, 0.1435, 0.1823)  3 O 1.46-1.49
S (0.4078, 0.3565, 0.6823)  3 O 1.46-1.49
S (0.5922, 0.6435, 0.3177)  3 O 1.46-1.49
S (0.5922, 0.8565, 0.8177)  3 O 1.46-1.49
S (0.7353, 0.5588, 0.4703)  2 S 2.10-2.15
S (0.7353, 0.9412, 0.9703)  2 S 2.10-2.15
S (0.9814, 0.0911, 0.7867)  3 O 1.45-1.49
S (0.9814, 0.4089, 0.2867)  3 O 1.45-1.49
O (0.0005, 0.7226, 0.1156)  2 H 0.98
O (0.0005, 0.7774, 0.6156)  2 H 0.98
O (0.0471, 0.1454, 0.7084)  1 S 1.46
O (0.0471, 0.3546, 0.2084)  1 S 1.46
O (0.0651, 0.5314, 0.8309)  1 S 1.49
O (0.0651, 0.9686, 0.3309)  1 S 1.49
O (0.0729, 0.5926, 0.2123)  2 H 0.99
O (0.0729, 0.9074, 0.7123)  2 H 0.99
O (0.1749, 0.6066, 0.6541)  1 S 1.45
O (0.1749, 0.8934, 0.1541)  1 S 1.45
O (0.2555, 0.1785, 0.2214)  1 S 1.46
O (0.2555, 0.3215, 0.7214)  1 S 1.46
O (0.3445, 0.0625, 0.5894)  2 H 0.98-0.99
O (0.3445, 0.4375, 0.0894)  2 H 0.98-0.99
O (0.4194, 0.1893, 0.6636)  2 H 0.98-0.99
O (0.4194, 0.3107, 0.1636)  2 H 0.98-0.99
O (0.4202, 0.6129, 0.1480)  1 S 1.47
O (0.4202, 0.8871, 0.6480)  1 S 1.47
O (0.4887, 0.1846, 0.0776)  1 S 1.49
O (0.4887, 0.3154, 0.5776)  1 S 1.49
O (0.5113, 0.6846, 0.4224)  1 S 1.49
O (0.5113, 0.8154, 0.9224)  1 S 1.49
O (0.5798, 0.1129, 0.3520)  1 S 1.47
O (0.5798, 0.3871, 0.8520)  1 S 1.47
O (0.5806, 0.6893, 0.8364)  2 H 0.98-0.99
O (0.5806, 0.8107, 0.3364)  2 H 0.98-0.99
O (0.6555, 0.5625, 0.9106)  2 H 0.98-0.99
O (0.6555, 0.9375, 0.4106)  2 H 0.98-0.99
O (0.7445, 0.6785, 0.2786)  1 S 1.46
O (0.7445, 0.8215, 0.7786)  1 S 1.46
O (0.8251, 0.1066, 0.8459)  1 S 1.45
O (0.8251, 0.3934, 0.3459)  1 S 1.45
O (0.9271, 0.0926, 0.2877)  2 H 0.99
O (0.9271, 0.4074, 0.7877)  2 H 0.99
O (0.9349, 0.0314, 0.6691)  1 S 1.49
O (0.9349, 0.4686, 0.1691)  1 S 1.49
O (0.9529, 0.6454, 0.7916)  1 S 1.46
O (0.9529, 0.8546, 0.2916)  1 S 1.46
O (0.9995, 0.2226, 0.3844)  2 H 0.98
O (0.9995, 0.2774, 0.8844)  2 H 0.98

## Properties
Total magnetic moment: 1.00 μB per formula unit
Calculated volume: 1040.5 Å³ per cell
DFT total energy: -5.1923 eV/atom
Space group: No. 14


Density functional theory data (PBE) for Mg14CdNi after structural relaxation.

Lattice parameters (Å, degrees): 9.8818 6.3028 6.3028 60.17 90.00 90.00
Last column: nearest neighbours and their distance in Å.
Element x y z (fractional)
Mg (0.0000, 0.0000, 0.0000)  12 Mg 3.11-3.16
Mg (0.0000, 0.0033, 0.4992)  12 Mg 3.06-3.21
Mg (0.0000, 0.4992, 0.0033)  12 Mg 3.06-3.21
Mg (0.0000, 0.4987, 0.4987)  12 Mg 3.06-3.20
Mg (0.2477, 0.6672, 0.6672)  11 Mg 3.06-3.16, 1 Cd 3.07
Mg (0.2597, 0.1614, 0.1614)  1 Ni 2.95, 11 Mg 3.01-3.27
Mg (0.2648, 0.1620, 0.6797)  1 Ni 2.91, 1 Cd 2.98, 8 Mg 3.00-3.21
Mg (0.2648, 0.6797, 0.1620)  1 Ni 2.91, 1 Cd 2.98, 8 Mg 3.00-3.21
Mg (0.5000, 0.4990, 0.9955)  8 Mg 3.00-3.18, 2 Cd 3.09-3.21, 2 Ni 3.12-3.19
Mg (0.5000, 0.9955, 0.4990)  8 Mg 3.00-3.18, 2 Cd 3.09-3.21, 2 Ni 3.12-3.19
Mg (0.7352, 0.1620, 0.6797)  1 Ni 2.91, 1 Cd 2.98, 8 Mg 3.00-3.21
Mg (0.7352, 0.6797, 0.1620)  1 Ni 2.91, 1 Cd 2.98, 8 Mg 3.00-3.21
Mg (0.7403, 0.1614, 0.1614)  1 Ni 2.95, 11 Mg 3.01-3.27
Mg (0.7523, 0.6672, 0.6672)  11 Mg 3.06-3.16, 1 Cd 3.07
Cd (0.5000, 0.5033, 0.5033)  10 Mg 2.98-3.21, 2 Ni 3.16
Ni (0.5000, 0.0015, 0.0015)  10 Mg 2.91-3.19, 2 Cd 3.16

## Properties
Total magnetic moment: 0.00 μB per formula unit
Calculated volume: 340.5 Å³ per cell
DFT total energy: -1.8116 eV/atom
Space group: No. 38


Density functional theory data (PBE) for LiBiP2O7 after structural relaxation.

Lattice parameters (Å, degrees): 5.0383 9.0758 7.4553 90.00 107.31 90.00
Last column: nearest neighbours and their distance in Å.
Element x y z (fractional)
Li (0.2002, 0.0000, 0.1512)  4 O 1.95-2.16
Li (0.7998, 0.5000, 0.8488)  4 O 1.95-2.16
Bi (0.1971, 0.3460, 0.2294)  5 O 2.23-2.46
Bi (0.8029, 0.8460, 0.7706)  5 O 2.23-2.46
P (0.2145, 0.0495, 0.5775)  4 O 1.53-1.63
P (0.4122, 0.6699, 0.0606)  4 O 1.53-1.62
P (0.5878, 0.1699, 0.9394)  4 O 1.53-1.62
P (0.7855, 0.5495, 0.4225)  4 O 1.53-1.63
O (0.0671, 0.5416, 0.3850)  1 P 1.53
O (0.1968, 0.1058, 0.3814)  1 P 1.53
O (0.2233, 0.5312, 0.0223)  1 P 1.55
O (0.2428, 0.8124, 0.0360)  1 P 1.53
O (0.3612, 0.8983, 0.6190)  1 P 1.55
O (0.3845, 0.1653, 0.0569)  1 P 1.53
O (0.4077, 0.1705, 0.7190)  2 P 1.62-1.63
O (0.5923, 0.6705, 0.2810)  2 P 1.62-1.63
O (0.6155, 0.6653, 0.9431)  1 P 1.53
O (0.6388, 0.3983, 0.3810)  1 P 1.55
O (0.7572, 0.3124, 0.9640)  1 P 1.53
O (0.7767, 0.0312, 0.9777)  1 P 1.55
O (0.8032, 0.6058, 0.6186)  1 P 1.53
O (0.9329, 0.0416, 0.6150)  1 P 1.53

## Properties
Total magnetic moment: 0.00 μB per formula unit
Calculated volume: 325.5 Å³ per cell
DFT total energy: -6.7564 eV/atom
Space group: No. 4


Density functional theory data (PBE) for ZnGa2S4 after structural relaxation.

Lattice parameters (Å, degrees): 12.6320 12.6320 12.6320 16.97 16.97 16.97
Last column: nearest neighbours and their distance in Å.
Element x y z (fractional)
Zn (0.0000, 0.0000, 0.0000)  3 S 2.25
Ga (0.5339, 0.5339, 0.5339)  4 S 2.27-2.36
Ga (0.7677, 0.7677, 0.7677)  6 S 2.44-2.59
S (0.0701, 0.0701, 0.0701)  3 Ga 2.44, 1 Zn 2.62
S (0.4732, 0.4732, 0.4732)  1 Ga 2.27
S (0.6491, 0.6491, 0.6491)  3 Zn 2.25
S (0.8930, 0.8930, 0.8930)  3 Ga 2.36

## Properties
Total magnetic moment: 0.00 μB per formula unit
Calculated volume: 149.8 Å³ per cell
DFT total energy: -3.9960 eV/atom
Space group: No. 160